[1]
Li7Mn2Co3O12 | GGA+U | relaxed

abc: 5.884 5.923 6.533
angles: 75.93 77.04 89.78
Space group P-1 (No. 2)
Symmetry-distinct sites (fractional):
Li 0.000 0.000 0.000 x1
Li 0.000 0.500 0.000 x1
Li 0.163 0.164 0.326 x2
Li 0.326 0.834 0.675 x2
Li 0.500 0.500 0.000 x1
Mn 0.332 0.329 0.668 x2
Co 0.163 0.677 0.320 x2
Co 0.500 0.000 0.000 x1
O 0.099 0.108 0.658 x2
O 0.100 0.565 0.656 x2
O 0.254 0.748 0.019 x2
O 0.266 0.246 0.980 x2
O 0.424 0.431 0.350 x2
O 0.428 0.901 0.329 x2

Calculated values
Magnetic moment (μB per formula unit): 18.00
Raw total energy (eV per atom): -5.882


[2]
Li7Mn2Co3O12 | GGA+U | relaxed

abc: 5.238 2.865 14.420
angles: 90.00 92.23 90.00
Space group P2/m (No. 10)
Symmetry-distinct sites (fractional):
Li 0.000 0.000 0.000 x1
Li 0.000 0.000 0.500 x1
Li 0.160 0.500 0.340 x2
Li 0.344 0.000 0.656 x2
Li 0.500 0.500 0.000 x1
Mn 0.169 0.500 0.830 x2
Co 0.329 0.000 0.168 x2
Co 0.500 0.500 0.500 x1
O 0.022 0.000 0.752 x2
O 0.186 0.500 0.092 x2
O 0.221 0.500 0.570 x2
O 0.313 0.000 0.910 x2
O 0.348 0.000 0.425 x2
O 0.473 0.500 0.242 x2

Calculated values
Magnetic moment (μB per formula unit): 18.00
Raw total energy (eV per atom): -5.792


[3]
LiMn2Co2O8 | GGA+U | relaxed

abc: 5.714 5.749 5.779
angles: 89.65 60.75 60.60
Space group P-1 (No. 2)
Symmetry-distinct sites (fractional):
Li 0.000 0.000 0.000 x1
Mn 0.000 0.500 0.500 x1
Mn 0.500 0.000 0.500 x1
Co 0.000 0.500 0.000 x1
Co 0.500 0.500 0.500 x1
O 0.036 0.247 0.725 x2
O 0.039 0.703 0.734 x2
O 0.474 0.267 0.290 x2
O 0.480 0.265 0.724 x2

Calculated values
Magnetic moment (μB per formula unit): 7.00
Raw total energy (eV per atom): -6.352


[4]
Li4MnCo2O7 | GGA+U | relaxed

abc: 34.239 2.854 5.262
angles: 90.00 95.99 90.00
Space group Cm (No. 8)
Symmetry-distinct sites (fractional):
Li 0.000 0.000 0.000 x2
Li 0.001 0.500 0.507 x2
Li 0.066 0.000 0.382 x2
Li 0.140 0.500 0.209 x2
Li 0.218 0.000 0.072 x2
Li 0.288 0.500 0.924 x2
Li 0.358 0.000 0.779 x2
Li 0.430 0.500 0.630 x2
Mn 0.142 0.000 0.722 x2
Mn 0.216 0.500 0.575 x2
Co 0.065 0.500 0.892 x2
Co 0.288 0.000 0.423 x2
Co 0.358 0.500 0.293 x2
Co 0.433 0.000 0.108 x2
O 0.038 0.000 0.689 x2
O 0.039 0.500 0.168 x2
O 0.108 0.000 0.987 x2
O 0.113 0.500 0.544 x2
O 0.174 0.500 0.893 x2
O 0.179 0.000 0.443 x2
O 0.248 0.000 0.737 x2
O 0.252 0.500 0.256 x2
O 0.320 0.500 0.608 x2
O 0.325 0.000 0.138 x2
O 0.389 0.000 0.450 x2
O 0.397 0.500 0.995 x2
O 0.459 0.500 0.300 x2
O 0.461 0.000 0.836 x2

Calculated values
Magnetic moment (μB per formula unit): 6.15
Raw total energy (eV per atom): -5.782


[5]
Li4Mn3CoO8 | GGA+U | relaxed

abc: 2.877 3.048 39.154
angles: 87.94 89.39 62.68
Space group P1 (No. 1)
Symmetry-distinct sites (fractional):
Li 0.000 0.000 0.000 x1
Li 0.113 0.752 0.625 x1
Li 0.230 0.508 0.251 x1
Li 0.343 0.261 0.876 x1
Li 0.499 0.002 0.500 x1
Li 0.614 0.752 0.125 x1
Li 0.729 0.509 0.751 x1
Li 0.843 0.262 0.376 x1
Mn 0.033 0.891 0.814 x1
Mn 0.310 0.372 0.063 x1
Mn 0.422 0.129 0.688 x1
Mn 0.535 0.889 0.313 x1
Mn 0.808 0.373 0.563 x1
Mn 0.923 0.129 0.188 x1
Co 0.172 0.630 0.438 x1
Co 0.670 0.633 0.938 x1
O 0.052 0.858 0.717 x1
O 0.164 0.617 0.342 x1
O 0.179 0.643 0.533 x1
O 0.292 0.401 0.159 x1
O 0.357 0.307 0.967 x1
O 0.404 0.162 0.785 x1
O 0.438 0.101 0.592 x1
O 0.485 0.957 0.410 x1
O 0.553 0.857 0.217 x1
O 0.662 0.620 0.843 x1
O 0.680 0.644 0.034 x1
O 0.791 0.401 0.659 x1
O 0.860 0.301 0.466 x1
O 0.905 0.160 0.284 x1
O 0.940 0.100 0.092 x1
O 0.982 0.962 0.910 x1

Calculated values
Magnetic moment (μB per formula unit): 2.97
Raw total energy (eV per atom): -6.368


[6]
Li3MnCoO5 | GGA+U | relaxed

abc: 4.977 14.874 5.105
angles: 90.00 108.66 90.00
Space group C2/m (No. 12)
Symmetry-distinct sites (fractional):
Li 0.000 0.000 0.000 x2
Li 0.000 0.092 0.500 x4
Li 0.000 0.302 0.500 x4
Li 0.000 0.500 0.500 x2
Mn 0.000 0.200 0.000 x4
Co 0.000 0.406 0.000 x4
O 0.226 0.500 0.244 x4
O 0.246 0.109 0.220 x8
O 0.248 0.205 0.778 x8

Calculated values
Magnetic moment (μB per formula unit): 3.00
Raw total energy (eV per atom): -5.939


[7]
Li2MnCoO4 | GGA+U | relaxed

abc: 3.063 5.037 5.158
angles: 101.30 104.37 92.50
Space group P-1 (No. 2)
Symmetry-distinct sites (fractional):
Li 0.242 0.248 0.496 x2
Mn 0.000 0.500 0.000 x1
Co 0.500 0.000 0.000 x1
O 0.099 0.865 0.226 x2
O 0.349 0.640 0.768 x2

Calculated values
Magnetic moment (μB per formula unit): 8.00
Raw total energy (eV per atom): -6.106


Number 1: mass density 4.07 Mg/m³. Number 2: mass density 4.05 Mg/m³. Number 3: mass density 4.39 Mg/m³. Number 4: mass density 4.06 Mg/m³. Number 5: mass density 4.13 Mg/m³. Number 6: mass density 3.98 Mg/m³. Number 7: mass density 4.23 Mg/m³.